(1)
VASP calculation (PBE) on crystalline CsHS2O7 at its relaxed geometry.

Calculated values
magnetization	0.00	μB/cell
formation enthalpy at 0 K	-1.867	eV/atom
total energy after the MP2020 corrections	-135.47	eV/cell
space-group type	P-1, No. 2
electronic total energy	-5.72	eV/atom

Unit cell a=5.5248 b=8.2110 c=8.8984 alpha=94.37 beta=101.95 gamma=105.79
With the nearest neighbours (Å) after each atom.
Fractional coordinates of all 22 atoms:
Cs 0.1961 0.3087 0.1369  8 O 3.12-3.49
Cs 0.8039 0.6913 0.8631  8 O 3.12-3.49
H 0.1813 0.8821 0.3519  1 O 1.03
H 0.8187 0.1179 0.6481  1 O 1.03
S 0.1564 0.3084 0.6156  3 O 1.43-1.55
S 0.4785 0.1374 0.8135  3 O 1.45-1.47
S 0.5215 0.8626 0.1865  3 O 1.45-1.47
S 0.8436 0.6916 0.3844  3 O 1.43-1.55
O 0.0928 0.8443 0.4395  1 H 1.03
O 0.1569 0.4034 0.7587  1 S 1.44
O 0.2000 0.3935 0.4849  1 S 1.43
O 0.2417 0.0326 0.8442  1 S 1.45
O 0.3591 0.9571 0.2416  1 S 1.47, 1 H 1.57
O 0.3801 0.7137 0.0717  1 S 1.45
O 0.3871 0.2194 0.6465  2 S 1.62-1.72
O 0.6129 0.7806 0.3535  2 S 1.62-1.72
O 0.6199 0.2863 0.9283  1 S 1.45
O 0.6409 0.0429 0.7584  1 S 1.47, 1 H 1.57
O 0.7583 0.9674 0.1558  1 S 1.45
O 0.8000 0.6065 0.5151  1 S 1.43
O 0.8431 0.5966 0.2413  1 S 1.44
O 0.9072 0.1557 0.5605  1 H 1.03

=====

(2)
VASP calculation (PBE) on crystalline Cs4H4SeS3O16 at its relaxed geometry.

Calculated values
magnetization	0.00	μB/cell
formation enthalpy at 0 K	-1.848	eV/atom
total energy after the MP2020 corrections	-163.96	eV/cell
space-group type	P1, No. 1
electronic total energy	-5.46	eV/atom

Unit cell a=7.8811 b=7.9694 c=8.3938 alpha=89.92 beta=89.85 gamma=71.57
With the nearest neighbours (Å) after each atom.
Fractional coordinates of all 28 atoms:
Cs 0.0000 0.0000 0.0000  8 O 3.14-3.38, 1 H 3.44
Cs 0.0891 0.4206 0.4959  8 O 3.14-3.38, 1 H 3.43
Cs 0.4980 0.9991 0.7471  9 O 3.21-3.47, 1 H 3.45
Cs 0.5896 0.4194 0.2459  8 O 3.10-3.37, 1 H 3.43
H 0.2431 0.8450 0.3392  1 O 1.02
H 0.3342 0.5861 0.9164  1 O 1.03
H 0.7423 0.8441 0.4066  1 O 1.02
H 0.8496 0.5814 0.8350  1 O 1.02
Se 0.5776 0.4552 0.7500  4 O 1.65-1.77
S 0.0103 0.9647 0.4952  4 O 1.46-1.61
S 0.0773 0.4577 0.9954  4 O 1.46-1.60
S 0.5102 0.9639 0.2512  4 O 1.46-1.61
O 0.0979 0.0185 0.6303  1 S 1.46
O 0.1457 0.3184 0.8763  1 S 1.46
O 0.1554 0.8038 0.4059  1 H 1.02
O 0.2120 0.5415 0.0468  1 S 1.49, 1 H 1.57
O 0.3766 0.8789 0.2020  1 S 1.48, 1 H 1.64
O 0.4173 0.6330 0.8470  1 H 1.03
O 0.4413 0.1047 0.3694  1 S 1.47
O 0.4793 0.3943 0.5978  1 Se 1.65
O 0.5986 0.0172 0.1158  1 S 1.46
O 0.6552 0.8031 0.3403  1 H 1.02
O 0.6561 0.2970 0.8829  1 Se 1.65
O 0.7266 0.5530 0.6936  1 H 1.60, 1 Se 1.67
O 0.8760 0.8800 0.5450  1 S 1.48, 1 H 1.65
O 0.9335 0.6201 0.9088  1 H 1.02
O 0.9418 0.1053 0.3770  1 S 1.47
O 0.9900 0.4034 0.1310  1 S 1.46